Compound: Co3O2F4
Source: Materials Project
Functional: PBE+U
Structure: relaxed

Lattice parameters (Å, degrees): 4.636 9.342 4.625 90.35 90.00 90.00
Sites, in units of the cell vectors:
Co1 0.537 0.507 0.459
F1 0.191 0.833 0.807
F2 0.309 0.333 0.307
O1 0.814 0.500 0.199
Co2 0.500 0.833 0.500
Co3 0.037 0.659 0.041
F3 0.223 0.502 0.789
O2 0.686 0.000 0.699
F4 0.691 0.334 0.693
F5 0.277 0.002 0.289
F6 0.777 0.165 0.211
F7 0.809 0.834 0.193
Co4 0.000 0.333 0.000
F8 0.723 0.665 0.711
O3 0.314 0.666 0.301
Co5 0.463 0.159 0.541
Co6 0.963 0.007 0.959
O4 0.186 0.166 0.801

Results
energy above the lowest structure with this stoichiometry: 0 meV/atom
E_form: -16.9 eV/f.u.
calculated total energy: -47.659 eV/f.u.


Compound: NaLaCoWO6
Source: Materials Project
Functional: PBE+U
Structure: relaxed

Lattice parameters (Å, degrees): 11.843 7.285 14.410 87.81 90.00 90.00
Sites, in units of the cell vectors:
Co1 0.251 0.262 0.876
O1 0.384 0.702 0.722
O2 0.625 0.236 0.481
O3 0.500 0.035 0.134
Co2 0.250 0.244 0.372
Na1 0.000 0.059 0.797
Na2 0.500 0.055 0.795
La1 0.250 0.489 0.681
La2 0.232 0.512 0.196
O4 0.375 0.236 0.481
La3 0.000 0.024 0.297
W1 0.750 0.768 0.947
O5 0.616 0.702 0.722
O6 0.261 0.561 0.881
W2 0.000 0.258 0.053
O7 0.124 0.269 0.980
O8 0.636 0.287 0.266
W3 0.251 0.753 0.442
O9 0.242 0.971 0.869
W4 0.250 0.768 0.947
O10 0.876 0.269 0.980
O11 0.368 0.295 0.776
Co3 0.000 0.741 0.626
O12 0.377 0.238 0.979
La4 0.768 0.512 0.196
O13 0.758 0.971 0.869
O14 0.883 0.758 0.232
O15 0.000 0.461 0.123
O16 0.124 0.219 0.483
O17 0.874 0.744 0.020
O18 0.128 0.261 0.273
La5 0.750 0.489 0.681
O19 0.126 0.744 0.020
Co4 0.749 0.262 0.876
O20 0.125 0.754 0.514
Na3 0.254 0.947 0.707
O21 0.619 0.702 0.229
Co5 0.750 0.244 0.372
O22 0.632 0.295 0.776
O23 0.120 0.701 0.724
O24 0.627 0.748 0.518
O25 0.000 0.045 0.124
Na4 0.725 0.975 0.204
Na5 0.275 0.975 0.204
W5 0.500 0.229 0.554
O26 0.364 0.287 0.266
O27 0.880 0.701 0.724
O28 0.000 0.030 0.638
La6 0.500 0.510 0.817
O29 0.250 0.538 0.380
O30 0.254 0.959 0.367
W6 0.500 0.237 0.054
O31 0.375 0.774 0.019
O32 0.739 0.561 0.881
O33 0.000 0.441 0.616
O34 0.373 0.748 0.518
Co6 0.500 0.739 0.622
Co7 0.000 0.753 0.130
O35 0.876 0.219 0.483
Co8 0.500 0.745 0.127
Na6 0.746 0.947 0.707
La7 0.500 0.492 0.311
W7 0.749 0.753 0.442
O36 0.381 0.702 0.229
O37 0.750 0.538 0.380
O38 0.500 0.030 0.634
O39 0.872 0.261 0.273
O40 0.500 0.455 0.111
O41 0.746 0.959 0.367
O42 0.623 0.238 0.979
O43 0.117 0.758 0.232
O44 0.625 0.774 0.019
Na7 0.500 0.039 0.296
Na8 0.000 0.502 0.319
O45 0.500 0.438 0.618
O46 0.875 0.754 0.514
O47 0.867 0.302 0.778
W8 0.000 0.226 0.555
La8 0.000 0.513 0.818
O48 0.133 0.302 0.778

Results
E_form: -22.8 eV/f.u.
calculated total energy: -68.565 eV/f.u.


Compound: LiV2PO7
Source: Materials Project
Functional: PBE+U
Structure: relaxed

Lattice parameters (Å, degrees): 5.357 9.670 5.122 90.00 102.76 90.00
Sites, in units of the cell vectors:
V1 0.966 0.138 0.605
O1 0.551 0.300 0.841
O2 0.226 0.489 0.795
O3 0.177 0.297 0.453
O4 0.774 0.989 0.705
O5 0.050 0.214 0.934
Li1 0.631 0.635 0.301
O6 0.473 0.979 0.028
O7 0.863 0.511 0.089
O8 0.527 0.479 0.472
O9 0.722 0.211 0.340
Li2 0.369 0.135 0.199
V2 0.860 0.328 0.117
O10 0.278 0.711 0.160
V3 0.140 0.828 0.383
O11 0.137 0.011 0.411
O12 0.449 0.800 0.659
O13 0.950 0.714 0.566
P1 0.621 0.898 0.864
P2 0.379 0.398 0.636
V4 0.034 0.638 0.895
O14 0.823 0.797 0.047

Results
E_form: -27.9 eV/f.u.
calculated total energy: -79.820 eV/f.u.